# 1
Below is a geometry-optimized NaFe12O19 structure, with properties calculated at the GGA+U level.

**SG**: P-3m1, No. 164

a = 5.9758 Å, b = 5.9758 Å, c = 23.2213 Å
α = 90.00°, β = 90.00°, γ = 120.00°
Closest atoms and distances in Å follow each position.
Element x y z (fractional)
Na (0.3333, 0.6667, 0.7470)  12 O 2.83-2.99
Na (0.6667, 0.3333, 0.2530)  12 O 2.83-2.99
Fe (0.1684, 0.8316, 0.8892)  6 O 1.95-2.13
Fe (0.1683, 0.8317, 0.6087)  6 O 1.94-2.12
Fe (0.3333, 0.6667, 0.1926)  6 O 1.99-2.08
Fe (0.3333, 0.6667, 0.0284)  4 O 1.94-1.96
Fe (0.3333, 0.6667, 0.3094)  6 O 2.00-2.04
Fe (0.0000, 0.0000, 0.0000)  6 O 2.04
Fe (0.0000, 0.0000, 0.2534)  3 O 1.90
Fe (0.0000, 0.0000, 0.5000)  6 O 2.02
Fe (0.1683, 0.3367, 0.6087)  6 O 1.94-2.12
Fe (0.3333, 0.6667, 0.4703)  4 O 1.93-1.95
Fe (0.0000, 0.0000, 0.7466)  3 O 1.90
Fe (0.1684, 0.3367, 0.8892)  6 O 1.95-2.13
Fe (0.6633, 0.8316, 0.8892)  6 O 1.95-2.13
Fe (0.6633, 0.8317, 0.6087)  6 O 1.94-2.12
Fe (0.3367, 0.1684, 0.1108)  6 O 1.95-2.13
Fe (0.3367, 0.1683, 0.3913)  6 O 1.94-2.12
Fe (0.8316, 0.6633, 0.1108)  6 O 1.95-2.13
Fe (0.6667, 0.3333, 0.6906)  6 O 2.00-2.04
Fe (0.6667, 0.3333, 0.8074)  6 O 1.99-2.08
Fe (0.8317, 0.6633, 0.3913)  6 O 1.94-2.12
Fe (0.6667, 0.3333, 0.9716)  4 O 1.94-1.96
Fe (0.6667, 0.3333, 0.5297)  4 O 1.93-1.95
Fe (0.8316, 0.1684, 0.1108)  6 O 1.95-2.13
Fe (0.8317, 0.1683, 0.3913)  6 O 1.94-2.12
O (0.1549, 0.8451, 0.0542)  4 Fe 1.94-2.13
O (0.1546, 0.8454, 0.4466)  4 Fe 1.93-2.11
O (0.9936, 0.4968, 0.3508)  3 Fe 1.94-2.00
O (0.0035, 0.5018, 0.8485)  3 Fe 1.95-1.99
O (0.9965, 0.4982, 0.1515)  3 Fe 1.95-1.99
O (0.0064, 0.5032, 0.6492)  3 Fe 1.94-2.00
O (0.1834, 0.8166, 0.2522)  3 Fe 1.90-2.08
O (0.3333, 0.6667, 0.9441)  4 Fe 1.96-2.13
O (0.3333, 0.6667, 0.5545)  4 Fe 1.95-2.12
O (0.0000, 0.0000, 0.1545)  3 Fe 2.02
O (0.1549, 0.3099, 0.0542)  4 Fe 1.94-2.13
O (0.0000, 0.0000, 0.3476)  4 Fe 2.02-2.19
O (0.0000, 0.0000, 0.6524)  4 Fe 2.02-2.19
O (0.1834, 0.3669, 0.2522)  3 Fe 1.90-2.08
O (0.0000, 0.0000, 0.8455)  3 Fe 2.02
O (0.1546, 0.3091, 0.4466)  4 Fe 1.93-2.11
O (0.6331, 0.8166, 0.2522)  3 Fe 1.90-2.08
O (0.3091, 0.1546, 0.5534)  4 Fe 1.93-2.11
O (0.3099, 0.1549, 0.9458)  4 Fe 1.94-2.13
O (0.5032, 0.4968, 0.3508)  3 Fe 1.94-2.00
O (0.5018, 0.4982, 0.1515)  3 Fe 1.95-1.99
O (0.4982, 0.5018, 0.8485)  3 Fe 1.95-1.99
O (0.4968, 0.5032, 0.6492)  3 Fe 1.94-2.00
O (0.6909, 0.8454, 0.4466)  4 Fe 1.93-2.11
O (0.6901, 0.8451, 0.0542)  4 Fe 1.94-2.13
O (0.3669, 0.1834, 0.7478)  3 Fe 1.90-2.08
O (0.5018, 0.0035, 0.1515)  3 Fe 1.95-1.99
O (0.5032, 0.0064, 0.3508)  3 Fe 1.94-2.00
O (0.4968, 0.9936, 0.6492)  3 Fe 1.94-2.00
O (0.8451, 0.6901, 0.9458)  4 Fe 1.94-2.13
O (0.4982, 0.9965, 0.8485)  3 Fe 1.95-1.99
O (0.6667, 0.3333, 0.4455)  4 Fe 1.95-2.12
O (0.6667, 0.3333, 0.0559)  4 Fe 1.96-2.13
O (0.8454, 0.6909, 0.5534)  4 Fe 1.93-2.11
O (0.8166, 0.6331, 0.7478)  3 Fe 1.90-2.08
O (0.8166, 0.1834, 0.7478)  3 Fe 1.90-2.08
O (0.8454, 0.1546, 0.5534)  4 Fe 1.93-2.11
O (0.8451, 0.1549, 0.9458)  4 Fe 1.94-2.13

***

# 2
Below is a geometry-optimized Na8Fe2O7 structure, with properties calculated at the GGA+U level.

**SG**: P2_1/c, No. 14

a = 11.1231 Å, b = 8.7913 Å, c = 10.2113 Å
α = 72.38°, β = 90.00°, γ = 90.00°
Closest atoms and distances in Å follow each position.
Element x y z (fractional)
Na (0.7497, 0.2860, 0.4302)  3 O 2.35-2.43
Na (0.0243, 0.8808, 0.4230)  4 O 2.28-2.48
Na (0.4757, 0.8808, 0.9230)  4 O 2.28-2.48
Na (0.9757, 0.1192, 0.5770)  4 O 2.28-2.48
Na (0.7598, 0.8944, 0.0329)  6 O 2.46-2.66
Na (0.2598, 0.1056, 0.4671)  6 O 2.46-2.66
Na (0.2402, 0.1056, 0.9671)  6 O 2.46-2.66
Na (0.7402, 0.8944, 0.5329)  6 O 2.46-2.66
Na (0.5528, 0.7432, 0.2117)  4 O 2.29-2.49
Na (0.0528, 0.2568, 0.2883)  4 O 2.29-2.49
Na (0.4472, 0.2568, 0.7883)  4 O 2.29-2.49
Na (0.9472, 0.7432, 0.7117)  4 O 2.29-2.49
Na (0.5048, 0.6610, 0.5165)  4 O 2.30-2.47
Na (0.0048, 0.3390, 0.9835)  4 O 2.30-2.47
Na (0.4952, 0.3390, 0.4835)  4 O 2.30-2.47
Na (0.9952, 0.6610, 0.0165)  4 O 2.30-2.47
Na (0.7317, 0.5002, 0.6272)  4 O 2.29-2.46
Na (0.2317, 0.4998, 0.8728)  4 O 2.29-2.46
Na (0.2683, 0.4998, 0.3728)  4 O 2.29-2.46
Na (0.7683, 0.5002, 0.1272)  4 O 2.29-2.46
Na (0.0389, 0.9164, 0.1434)  3 O 2.32-2.46
Na (0.7503, 0.2860, 0.9302)  3 O 2.35-2.43
Na (0.5243, 0.1192, 0.0770)  4 O 2.28-2.48
Na (0.2497, 0.7140, 0.0698)  3 O 2.35-2.43
Na (0.9730, 0.4322, 0.6443)  3 O 2.24-2.37
Na (0.4730, 0.5678, 0.8557)  3 O 2.24-2.37
Na (0.0270, 0.5678, 0.3557)  3 O 2.24-2.37
Na (0.5270, 0.4322, 0.1443)  3 O 2.24-2.37
Na (0.4611, 0.9164, 0.6434)  3 O 2.32-2.46
Na (0.9611, 0.0836, 0.8566)  3 O 2.32-2.46
Na (0.5389, 0.0836, 0.3566)  3 O 2.32-2.46
Na (0.2503, 0.7140, 0.5698)  3 O 2.35-2.43
Fe (0.7167, 0.6914, 0.8469)  4 O 1.90-1.97
Fe (0.2167, 0.3086, 0.6531)  4 O 1.90-1.97
Fe (0.2833, 0.3086, 0.1531)  4 O 1.90-1.97
Fe (0.7833, 0.6914, 0.3469)  4 O 1.90-1.97
Fe (0.7030, 0.0936, 0.7262)  4 O 1.90-1.98
Fe (0.2030, 0.9064, 0.7738)  4 O 1.90-1.98
Fe (0.2970, 0.9064, 0.2738)  4 O 1.90-1.98
Fe (0.7970, 0.0936, 0.2262)  4 O 1.90-1.98
O (0.1108, 0.8960, 0.6206)  1 Fe 1.90
O (0.6108, 0.1040, 0.8794)  1 Fe 1.90
O (0.8892, 0.1040, 0.3794)  1 Fe 1.90
O (0.3892, 0.8960, 0.1206)  1 Fe 1.90
O (0.1154, 0.3285, 0.4965)  1 Fe 1.92
O (0.6154, 0.6715, 0.0035)  1 Fe 1.92
O (0.8846, 0.6715, 0.5035)  1 Fe 1.92
O (0.3846, 0.3285, 0.9965)  1 Fe 1.92
O (0.6105, 0.1062, 0.5664)  1 Fe 1.90
O (0.1105, 0.8938, 0.9336)  1 Fe 1.90
O (0.3895, 0.8938, 0.4336)  1 Fe 1.90
O (0.8895, 0.1062, 0.0664)  1 Fe 1.90
O (0.8246, 0.2522, 0.6831)  1 Fe 1.90
O (0.3246, 0.7478, 0.8169)  1 Fe 1.90
O (0.1754, 0.7478, 0.3169)  1 Fe 1.90
O (0.6754, 0.2522, 0.1831)  1 Fe 1.90
O (0.6190, 0.6772, 0.6990)  1 Fe 1.90
O (0.1190, 0.3228, 0.8010)  1 Fe 1.90
O (0.3810, 0.3228, 0.3010)  1 Fe 1.90
O (0.8810, 0.6772, 0.1990)  1 Fe 1.90
O (0.3489, 0.4583, 0.6054)  1 Fe 1.93
O (0.8489, 0.5417, 0.8946)  1 Fe 1.93
O (0.6511, 0.5417, 0.3946)  1 Fe 1.93
O (0.1511, 0.4583, 0.1054)  1 Fe 1.93
O (0.3016, 0.1030, 0.7160)  2 Fe 1.97-1.98
O (0.8016, 0.8970, 0.7840)  2 Fe 1.97-1.98
O (0.6984, 0.8970, 0.2840)  2 Fe 1.97-1.98
O (0.1984, 0.1030, 0.2160)  2 Fe 1.97-1.98

***

Number 1: energy relative to the elements -1590 meV/atom, volume 359.1 Å³/f.u.. Number 2: energy relative to the elements -1669 meV/atom, volume 237.9 Å³/f.u..